[1]
First-principles (GGA-PBE) data for Tm2MgSe4 after structural relaxation, as listed in the Materials Project.

Geometry as CIF:
```
data_Tm2MgSe4
_chemical_formula_sum 'Tm4 Mg2 Se8'
_space_group_name_H-M_alt 'P 1'
_space_group_IT_number 1
_space_group_name_Hall 'P 1'
_cell_length_a 8.191
_cell_length_b 8.191
_cell_length_c 8.191
_cell_angle_alpha 60.00
_cell_angle_beta 60.00
_cell_angle_gamma 60.00
loop_
_atom_site_label
_atom_site_type_symbol
_atom_site_fract_x
_atom_site_fract_y
_atom_site_fract_z
Tm1 Tm 0.125 0.625 0.125
Tm2 Tm 0.125 0.125 0.125
Tm3 Tm 0.625 0.125 0.125
Tm4 Tm 0.125 0.125 0.625
Mg1 Mg 0.750 0.750 0.750
Mg2 Mg 0.500 0.500 0.500
Se1 Se 0.370 0.370 0.891
Se2 Se 0.880 0.359 0.880
Se3 Se 0.880 0.880 0.359
Se4 Se 0.370 0.370 0.370
Se5 Se 0.370 0.891 0.370
Se6 Se 0.359 0.880 0.880
Se7 Se 0.880 0.880 0.880
Se8 Se 0.891 0.370 0.370
```

Calculated values
Raw total energy   -36.355 eV/f.u.
Distance to the lowest polymorph of the same formula   0 meV/atom
Crystal system   cubic

[2]
First-principles (GGA-PBE) data for Y2GeRh3 after structural relaxation, as listed in the Materials Project.

Geometry as CIF:
```
data_Y2GeRh3
_chemical_formula_sum 'Y2 Ge1 Rh3'
_space_group_name_H-M_alt 'P 1'
_space_group_IT_number 1
_space_group_name_Hall 'P 1'
_cell_length_a 5.139
_cell_length_b 5.139
_cell_length_c 5.139
_cell_angle_alpha 66.29
_cell_angle_beta 66.29
_cell_angle_gamma 66.29
loop_
_atom_site_label
_atom_site_type_symbol
_atom_site_fract_x
_atom_site_fract_y
_atom_site_fract_z
Y1 Y 0.629 0.629 0.629
Y2 Y 0.371 0.371 0.371
Ge1 Ge 0.000 0.000 0.000
Rh1 Rh 0.000 0.000 0.500
Rh2 Rh 0.500 0.000 0.000
Rh3 Rh 0.000 0.500 0.000
```

Calculated values
Raw total energy   -44.910 eV/f.u.
Crystal system   trigonal

[3]
First-principles (GGA-PBE) data for AlP after structural relaxation, as listed in the Materials Project.

Geometry as CIF:
```
data_AlP
_chemical_formula_sum 'Al1 P1'
_space_group_name_H-M_alt 'P 1'
_space_group_IT_number 1
_space_group_name_Hall 'P 1'
_cell_length_a 3.894
_cell_length_b 3.894
_cell_length_c 3.894
_cell_angle_alpha 60.00
_cell_angle_beta 60.00
_cell_angle_gamma 60.00
loop_
_atom_site_label
_atom_site_type_symbol
_atom_site_fract_x
_atom_site_fract_y
_atom_site_fract_z
Al1 Al 0.000 0.000 0.000
P1 P 0.750 0.750 0.750
```

Calculated values
Maximum piezoelectric response   0.00 C/m²
Raw total energy   -10.378 eV/f.u.
Crystal system   cubic